First-principles (PBE-GGA) data for crystalline CuH6C4O8 at its relaxed geometry, as listed in the Materials Project database.

Geometry as extended XYZ:
```
76
Lattice="8.680 0.000 0.000 0.000 9.163 0.000 0.000 0.000 10.897" Properties=species:S:1:pos:R:3 pbc="T T T"
Cu 0.000 0.000 0.000
Cu 0.000 4.581 5.448
Cu 4.340 0.000 5.448
Cu 4.340 4.581 0.000
H 0.813 1.321 2.359
H 0.813 3.261 7.808
H 1.011 0.313 7.017
H 1.011 4.268 1.569
H 1.999 6.269 10.111
H 1.999 7.475 4.663
H 2.341 1.688 10.111
H 2.341 2.894 4.663
H 3.329 4.895 7.017
H 3.329 8.849 1.569
H 3.527 5.902 2.359
H 3.527 7.842 7.808
H 5.153 1.321 3.089
H 5.153 3.261 8.537
H 5.351 0.313 9.328
H 5.351 4.268 3.879
H 6.339 6.269 6.233
H 6.339 7.475 0.785
H 6.682 1.688 6.233
H 6.682 2.894 0.785
H 7.669 4.895 9.328
H 7.669 8.849 3.879
H 7.867 5.902 3.089
H 7.867 7.842 8.537
C 0.477 4.654 2.454
C 0.477 9.090 7.902
C 1.995 2.157 0.152
C 1.995 2.424 5.600
C 2.345 6.738 0.152
C 2.345 7.006 5.600
C 3.863 0.073 2.454
C 3.863 4.509 7.902
C 4.817 4.654 2.994
C 4.817 9.090 8.442
C 6.335 2.157 5.296
C 6.335 2.424 10.745
C 6.686 6.738 5.296
C 6.686 7.006 10.745
C 8.203 0.073 2.994
C 8.203 4.509 8.442
O 0.444 0.973 3.247
O 0.444 3.608 8.695
O 0.793 0.352 9.032
O 0.793 4.229 3.584
O 1.030 1.531 0.768
O 1.030 3.050 6.216
O 1.843 5.950 6.034
O 1.843 7.794 0.586
O 2.497 1.368 6.034
O 2.497 3.213 0.586
O 3.310 6.112 0.768
O 3.310 7.632 6.216
O 3.547 4.934 9.032
O 3.547 8.810 3.584
O 3.897 5.554 3.247
O 3.897 8.190 8.695
O 4.784 0.973 2.201
O 4.784 3.608 7.650
O 5.133 0.352 7.313
O 5.133 4.229 1.865
O 5.370 1.531 4.681
O 5.370 3.050 10.129
O 6.183 5.950 10.311
O 6.183 7.794 4.863
O 6.837 1.368 10.311
O 6.837 3.213 4.863
O 7.650 6.112 4.681
O 7.650 7.632 10.129
O 7.887 4.934 7.313
O 7.887 8.810 1.865
O 8.237 5.554 2.201
O 8.237 8.190 7.650
```

Density ... 1.88 g/cm³
Energy of formation from the pure elements ... -21.10 eV per formula unit
Offset from the most stable computed form ... 21 meV/atom

---

First-principles (PBE-GGA) data for crystalline Te6Mo3WSe2 at its relaxed geometry, as listed in the Materials Project database.

Geometry as extended XYZ:
```
12
Lattice="3.496 0.000 0.000 -1.748 3.028 0.000 0.000 0.000 39.607" Properties=species:S:1:pos:R:3 pbc="T T T"
Te 0.000 0.000 0.000
Te 0.000 0.000 3.667
Te 0.000 0.000 14.881
Te 0.000 0.000 18.549
Te 0.000 2.019 32.166
Te 0.000 2.019 35.833
Mo 0.000 0.000 33.999
Mo 0.000 2.019 1.835
Mo 0.000 2.019 16.715
W 0.000 0.000 9.274
Se 0.000 2.019 7.651
Se 0.000 2.019 10.898
```

Density ... 5.52 g/cm³
Energy of formation from the pure elements ... -4.82 eV per formula unit
Offset from the most stable computed form ... 0 meV/atom

---

First-principles (PBE-GGA) data for crystalline Na4MgCuAs2O8 at its relaxed geometry, as listed in the Materials Project database.

Geometry as extended XYZ:
```
16
Lattice="5.393 0.000 0.000 -0.537 6.535 0.000 -0.142 -0.365 6.974" Properties=species:S:1:pos:R:3 pbc="T T T"
Na 0.421 1.499 1.649
Na 1.509 4.681 0.068
Na 3.205 1.488 6.906
Na 4.293 4.671 5.325
Mg 2.625 -0.183 3.487
Cu 2.357 3.085 3.487
As 0.544 0.911 5.170
As 4.169 5.258 1.804
O 0.481 5.598 1.976
O 0.891 1.927 6.542
O 0.896 5.914 5.240
O 1.409 1.518 3.675
O 3.304 4.651 3.299
O 3.818 0.255 1.734
O 3.823 4.243 0.432
O 4.233 0.572 4.998
```

Density ... 3.09 g/cm³
Energy of formation from the pure elements ... -29.53 eV per formula unit
Offset from the most stable computed form ... 23 meV/atom

---

First-principles (PBE-GGA) data for crystalline NdHo3 at its relaxed geometry, as listed in the Materials Project database.

Geometry as extended XYZ:
```
8
Lattice="7.263 0.000 0.000 -3.632 6.290 0.000 0.000 0.000 5.701" Properties=species:S:1:pos:R:3 pbc="T T T"
Nd 0.000 4.193 1.425
Nd 3.632 2.097 4.276
Ho 0.000 2.078 4.276
Ho -1.832 5.251 4.276
Ho 1.799 1.039 1.425
Ho 1.832 5.251 4.276
Ho 5.464 1.039 1.425
Ho 3.632 4.212 1.425
```

Density ... 8.15 g/cm³
Energy of formation from the pure elements ... 0.08 eV per formula unit
Offset from the most stable computed form ... 0 meV/atom

---

First-principles (PBE-GGA) data for crystalline SrMg14TiO16 at its relaxed geometry, as listed in the Materials Project database.

Geometry as extended XYZ:
```
32
Lattice="8.693 0.000 0.000 0.000 8.693 0.000 0.000 0.000 4.399" Properties=species:S:1:pos:R:3 pbc="T T T"
Sr 0.000 0.000 0.000
Mg 0.000 2.255 2.200
Mg 0.000 4.346 0.000
Mg 0.000 6.438 2.200
Mg 2.165 4.346 2.200
Mg 2.210 2.210 0.000
Mg 2.210 6.483 0.000
Mg 2.255 0.000 2.200
Mg 4.346 0.000 0.000
Mg 4.346 2.165 2.200
Mg 4.346 6.527 2.200
Mg 6.438 0.000 2.200
Mg 6.483 2.210 0.000
Mg 6.483 6.483 0.000
Mg 6.527 4.346 2.200
Ti 4.346 4.346 0.000
O 0.000 0.000 2.200
O 0.000 2.360 0.000
O 0.000 4.346 2.200
O 0.000 6.333 0.000
O 2.176 2.176 2.200
O 2.171 4.346 0.000
O 2.176 6.517 2.200
O 2.360 0.000 0.000
O 4.346 0.000 2.200
O 4.346 2.171 0.000
O 4.346 4.346 2.200
O 4.346 6.522 0.000
O 6.333 0.000 0.000
O 6.517 2.176 2.200
O 6.522 4.346 0.000
O 6.517 6.517 2.200
```

Density ... 3.66 g/cm³
Energy of formation from the pure elements ... -93.04 eV per formula unit
Offset from the most stable computed form ... 0 meV/atom

---

First-principles (PBE-GGA) data for crystalline Ce3Cr at its relaxed geometry, as listed in the Materials Project database.

Geometry as extended XYZ:
```
4
Lattice="-2.092 2.092 5.002 2.092 -2.092 5.002 2.092 2.092 -5.002" Properties=species:S:1:pos:R:3 pbc="T T T"
Ce 0.000 0.000 0.000
Ce 2.092 0.000 2.501
Ce 0.000 2.092 2.501
Cr 0.000 0.000 5.002
```

Density ... 8.96 g/cm³
Energy of formation from the pure elements ... 1.30 eV per formula unit

---

First-principles (PBE-GGA) data for crystalline Mo3WSe4S4 at its relaxed geometry, as listed in the Materials Project database.

Geometry as extended XYZ:
```
12
Lattice="3.257 0.000 0.000 -1.629 2.821 0.000 0.000 0.000 36.887" Properties=species:S:1:pos:R:3 pbc="T T T"
Mo 0.000 0.000 0.000
Mo 0.000 0.000 13.861
Mo 1.629 0.940 29.958
W 1.629 0.940 6.932
Se 0.000 0.000 5.224
Se 0.000 0.000 8.640
Se 1.629 0.940 1.698
Se 1.629 0.940 35.191
S 0.000 0.000 28.414
S 0.000 0.000 31.502
S 1.629 0.940 12.317
S 1.629 0.940 15.406
```

Density ... 4.49 g/cm³
Energy of formation from the pure elements ... -10.73 eV per formula unit
Offset from the most stable computed form ... 18 meV/atom

---

First-principles (PBE-GGA) data for crystalline BaH2 at its relaxed geometry, as listed in the Materials Project database.

Geometry as extended XYZ:
```
12
Lattice="6.849 0.000 0.000 0.000 4.175 0.000 0.000 0.000 7.883" Properties=species:S:1:pos:R:3 pbc="T T T"
Ba 1.638 1.044 0.886
Ba 1.786 3.131 4.828
Ba 5.063 1.044 3.055
Ba 5.211 3.131 6.996
H 0.193 3.131 2.518
H 0.993 3.131 7.318
H 2.432 1.044 3.377
H 3.232 1.044 6.460
H 3.617 3.131 1.423
H 4.418 3.131 4.506
H 5.856 1.044 0.565
H 6.656 1.044 5.364
```

Density ... 4.11 g/cm³
Energy of formation from the pure elements ... -1.82 eV per formula unit

---

First-principles (PBE-GGA) data for crystalline DyTiFe11 at its relaxed geometry, as listed in the Materials Project database.

Geometry as extended XYZ:
```
13
Lattice="-2.360 4.250 4.223 2.360 -4.250 4.223 2.360 4.250 -4.223" Properties=species:S:1:pos:R:3 pbc="T T T"
Dy 0.000 0.000 0.000
Ti 0.000 0.000 5.285
Fe 2.360 1.886 -0.059
Fe 2.360 0.000 1.879
Fe 0.000 0.000 2.940
Fe 2.360 -1.218 4.173
Fe 1.176 2.117 2.069
Fe 3.544 2.117 2.069
Fe 2.360 1.218 4.173
Fe 0.000 4.250 2.277
Fe 0.000 2.364 4.164
Fe -1.184 2.133 6.292
Fe 1.184 2.133 6.292
```

Density ... 8.08 g/cm³
Energy of formation from the pure elements ... -0.97 eV per formula unit

---

First-principles (PBE-GGA) data for crystalline Co6WN4 at its relaxed geometry, as listed in the Materials Project database.

Geometry as extended XYZ:
```
22
Lattice="6.502 0.000 0.000 0.000 6.502 0.000 0.000 0.000 5.242" Properties=species:S:1:pos:R:3 pbc="T T T"
Co 0.272 3.523 1.310
Co 0.272 6.230 1.310
Co 1.625 1.625 0.191
Co 1.625 1.625 2.812
Co 2.979 3.523 1.310
Co 2.979 6.230 1.310
Co 3.523 0.272 3.931
Co 3.523 2.979 3.931
Co 4.876 4.876 2.430
Co 4.876 4.876 5.051
Co 6.230 0.272 3.931
Co 6.230 2.979 3.931
W 1.625 4.876 3.931
W 4.876 1.625 1.310
N 0.189 4.876 2.587
N 1.625 3.440 0.034
N 1.625 6.312 0.034
N 3.061 4.876 2.587
N 3.440 1.625 2.655
N 4.876 0.189 5.208
N 4.876 3.061 5.208
N 6.312 1.625 2.655
```

Density ... 8.90 g/cm³
Energy of formation from the pure elements ... 0.08 eV per formula unit

---

First-principles (PBE-GGA) data for crystalline Tb2In at its relaxed geometry, as listed in the Materials Project database.

Geometry as extended XYZ:
```
6
Lattice="5.425 0.000 0.000 -2.712 4.698 0.000 0.000 0.000 6.762" Properties=species:S:1:pos:R:3 pbc="T T T"
Tb 0.000 0.000 0.000
Tb 0.000 0.000 3.381
Tb 0.000 3.132 1.690
Tb 2.712 1.566 5.071
In 0.000 3.132 5.071
In 2.712 1.566 1.690
```

Density ... 8.34 g/cm³
Energy of formation from the pure elements ... -1.05 eV per formula unit

---

First-principles (PBE-GGA) data for crystalline SrSnHg at its relaxed geometry, as listed in the Materials Project database.

Geometry as extended XYZ:
```
6
Lattice="5.006 0.000 0.000 -2.503 4.335 0.000 0.000 0.000 8.309" Properties=species:S:1:pos:R:3 pbc="T T T"
Sr 0.000 0.000 0.000
Sr 0.000 0.000 4.154
Sn 0.000 2.890 2.343
Sn 2.503 1.445 6.498
Hg 0.000 2.890 5.821
Hg 2.503 1.445 1.667
```

Density ... 7.49 g/cm³
Energy of formation from the pure elements ... -1.66 eV per formula unit